(1)
! U12FeNi (PBE, optimized geometry); values from VASP
! Size of the total moment: 0.0003 μB per atom
! Crystal system: tetragonal
! Energy of formation from the pure elements: -0.129 eV per formula unit
! VASP energy: -10.705 eV/atom
! Volume: 19.24 Å³ per atom
&SYSTEM
  ibrav = 0, nat = 14, ntyp = 3
/
ATOMIC_SPECIES
Fe 55.84 Fe.upf
U 238.03 U.upf
Ni 58.69 Ni.upf
ATOMIC_POSITIONS crystal
Fe 0.250 0.000 0.000
U 0.594 0.312 0.500
U 0.221 0.679 0.115
U 0.094 0.500 0.688
U 0.106 0.115 0.321
U 0.394 0.321 0.115
U 0.279 0.115 0.679
U 0.715 0.885 0.321
U 0.900 0.885 0.679
U 0.906 0.500 0.312
U 0.600 0.679 0.885
U 0.785 0.321 0.885
U 0.406 0.688 0.500
Ni 0.750 0.000 0.000
CELL_PARAMETERS angstrom
0.000 0.000 5.198
-5.091 5.091 2.599
-5.091 -5.091 -2.599

---

(2)
! MgCd3 (PBE, optimized geometry); values from VASP
! Crystal system: hexagonal
! Excess energy over the best structure of this formula in the dataset: 5.10 kJ per mole of atoms
! Energy of formation from the pure elements: -0.068 eV per formula unit
! VASP energy: -1.109 eV/atom
! Volume: 22.29 Å³ per atom
&SYSTEM
  ibrav = 0, nat = 4, ntyp = 2
/
ATOMIC_SPECIES
Mg 24.30 Mg.upf
Cd 112.41 Cd.upf
ATOMIC_POSITIONS crystal
Mg 0.000 0.000 0.500
Cd 0.667 0.333 0.747
Cd 0.000 0.000 0.000
Cd 0.667 0.333 0.253
CELL_PARAMETERS angstrom
1.635 -2.831 0.000
1.635 2.831 0.000
0.000 0.000 9.631

---

Q: Which of these has the highest VASP energy?
A: MgCd3

---

Q: Look up the energy of formation from the pure elements of the first one.
A: -0.129 eV per formula unit

---

Q: Which of these has the highest VASP energy?
A: MgCd3

---

Q: The highest VASP energy belongs to which entry?
A: MgCd3